(1)
A plane-wave DFT calculation with PBE with a Hubbard U was carried out for a geometry-optimized K2MoSeO6 structure.

abc: 6.294 15.556 7.775
angles: 90.00 112.68 90.00
Sites, in units of the cell vectors:
K (0.106, 0.054, 0.313)
K (0.106, 0.446, 0.813)
K (0.358, 0.698, 0.111)
K (0.358, 0.802, 0.611)
K (0.642, 0.198, 0.389)
K (0.642, 0.302, 0.889)
K (0.894, 0.554, 0.187)
K (0.894, 0.946, 0.687)
Mo (0.461, 0.063, 0.817)
Mo (0.461, 0.437, 0.317)
Mo (0.539, 0.563, 0.683)
Mo (0.539, 0.937, 0.183)
Se (0.102, 0.174, 0.878)
Se (0.102, 0.326, 0.378)
Se (0.898, 0.674, 0.622)
Se (0.898, 0.826, 0.122)
O (0.049, 0.229, 0.277)
O (0.049, 0.271, 0.777)
O (0.105, 0.104, 0.698)
O (0.105, 0.396, 0.198)
O (0.291, 0.520, 0.492)
O (0.291, 0.980, 0.992)
O (0.371, 0.522, 0.152)
O (0.371, 0.978, 0.652)
O (0.404, 0.165, 0.991)
O (0.404, 0.335, 0.491)
O (0.415, 0.637, 0.791)
O (0.415, 0.863, 0.291)
O (0.585, 0.137, 0.709)
O (0.585, 0.363, 0.209)
O (0.596, 0.665, 0.509)
O (0.596, 0.835, 0.009)
O (0.629, 0.022, 0.348)
O (0.629, 0.478, 0.848)
O (0.709, 0.020, 0.008)
O (0.709, 0.480, 0.508)
O (0.895, 0.604, 0.802)
O (0.895, 0.896, 0.302)
O (0.951, 0.729, 0.223)
O (0.951, 0.771, 0.723)

Calculated values
ΔH_f (0 K): -1.932 eV per atom
corrected total energy (MP2020 scheme): -6.557 eV/atom
calculated density: 3301 kg/m³
VASP energy: -5.82 eV/atom

***

(2)
A plane-wave DFT calculation with PBE with a Hubbard U was carried out for a geometry-optimized VPO4 structure.

abc: 5.290 7.918 6.472
angles: 90.00 90.01 90.00
Sites, in units of the cell vectors:
V (0.500, 0.500, 0.500)
V (0.000, 0.000, 0.000)
V (0.000, 0.000, 0.500)
V (0.500, 0.500, 0.000)
P (0.500, 0.849, 0.750)
P (0.000, 0.349, 0.750)
P (0.500, 0.151, 0.250)
P (0.000, 0.651, 0.250)
O (0.744, 0.964, 0.750)
O (0.244, 0.464, 0.750)
O (0.744, 0.036, 0.250)
O (0.244, 0.536, 0.250)
O (0.256, 0.036, 0.250)
O (0.756, 0.536, 0.250)
O (0.256, 0.964, 0.750)
O (0.756, 0.464, 0.750)
O (0.500, 0.744, 0.552)
O (0.000, 0.244, 0.552)
O (0.500, 0.256, 0.448)
O (0.000, 0.756, 0.448)
O (0.500, 0.744, 0.948)
O (0.000, 0.244, 0.948)
O (0.500, 0.256, 0.052)
O (0.000, 0.756, 0.052)

Calculated values
ΔH_f (0 K): -2.701 eV per atom
corrected total energy (MP2020 scheme): -8.416 eV/atom
calculated density: 3576 kg/m³
VASP energy: -7.67 eV/atom

***

(3)
A plane-wave DFT calculation with PBE with a Hubbard U was carried out for a geometry-optimized MgFe3Co2SbP6O24 structure.

abc: 8.721 8.725 8.735
angles: 89.96 60.16 60.02
Sites, in units of the cell vectors:
Mg (0.000, 0.000, 0.000)
Fe (0.206, 0.398, 0.191)
Fe (0.244, 0.878, 0.634)
Fe (0.755, 0.122, 0.365)
Co (0.488, 0.257, 0.766)
Co (0.490, 0.754, 0.264)
Sb (0.790, 0.605, 0.814)
P (0.007, 0.296, 0.996)
P (0.294, 0.494, 0.499)
P (0.300, 0.697, 0.996)
P (0.701, 0.003, 0.995)
P (0.713, 0.792, 0.497)
P (0.997, 0.211, 0.497)
O (0.054, 0.596, 0.679)
O (0.069, 0.279, 0.332)
O (0.088, 0.866, 0.167)
O (0.123, 0.130, 0.826)
O (0.171, 0.326, 0.986)
O (0.192, 0.016, 0.454)
O (0.304, 0.746, 0.825)
O (0.319, 0.400, 0.334)
O (0.337, 0.504, 0.987)
O (0.337, 0.646, 0.454)
O (0.438, 0.354, 0.554)
O (0.485, 0.681, 0.008)
O (0.517, 0.158, 0.985)
O (0.562, 0.790, 0.453)
O (0.653, 0.991, 0.551)
O (0.670, 0.734, 0.679)
O (0.673, 0.834, 0.007)
O (0.698, 0.047, 0.167)
O (0.802, 0.206, 0.551)
O (0.825, 0.493, 0.008)
O (0.879, 0.255, 0.168)
O (0.917, 0.349, 0.678)
O (0.920, 0.950, 0.825)
O (0.947, 0.652, 0.333)

Calculated values
ΔH_f (0 K): -2.281 eV per atom
corrected total energy (MP2020 scheme): -7.595 eV/atom
calculated density: 3527 kg/m³
polymorph energy (0 for the lowest one): 0.000 eV/atom
M_tot: 19.003 μB per formula unit
VASP energy: -6.88 eV/atom

***

(4)
A plane-wave DFT calculation with PBE with a Hubbard U was carried out for a geometry-optimized Ba2Mn2Sb2O structure.

abc: 4.802 4.802 20.281
angles: 90.00 90.00 120.00
Sites, in units of the cell vectors:
Ba (0.000, 0.000, 0.000)
Ba (0.000, 0.000, 0.250)
Ba (0.000, 0.000, 0.500)
Ba (0.000, 0.000, 0.750)
Mn (0.333, 0.667, 0.149)
Mn (0.333, 0.667, 0.351)
Mn (0.667, 0.333, 0.649)
Mn (0.667, 0.333, 0.851)
Sb (0.333, 0.667, 0.611)
Sb (0.333, 0.667, 0.889)
Sb (0.667, 0.333, 0.111)
Sb (0.667, 0.333, 0.389)
O (0.333, 0.667, 0.250)
O (0.667, 0.333, 0.750)

Calculated values
ΔH_f (0 K): -1.168 eV per atom
corrected total energy (MP2020 scheme): -6.221 eV/atom
calculated density: 5281 kg/m³
M_tot: 0.000 μB per formula unit
VASP energy: -5.65 eV/atom

***

(5)
A plane-wave DFT calculation with PBE with a Hubbard U was carried out for a geometry-optimized TiFe2O4 structure.

abc: 9.970 2.949 9.933
angles: 90.00 90.00 90.00
Sites, in units of the cell vectors:
Ti (0.069, 0.000, 0.130)
Ti (0.431, 0.000, 0.130)
Ti (0.569, 0.000, 0.870)
Ti (0.931, 0.000, 0.870)
Fe (0.075, 0.500, 0.627)
Fe (0.250, 0.000, 0.390)
Fe (0.250, 0.500, 0.876)
Fe (0.425, 0.500, 0.627)
Fe (0.575, 0.500, 0.373)
Fe (0.750, 0.000, 0.610)
Fe (0.750, 0.500, 0.124)
Fe (0.925, 0.500, 0.373)
O (0.000, 0.000, 0.500)
O (0.000, 0.500, 0.000)
O (0.110, 0.000, 0.790)
O (0.114, 0.500, 0.259)
O (0.250, 0.000, 0.044)
O (0.250, 0.500, 0.535)
O (0.386, 0.500, 0.259)
O (0.390, 0.000, 0.790)
O (0.500, 0.000, 0.500)
O (0.500, 0.500, 0.000)
O (0.610, 0.000, 0.210)
O (0.614, 0.500, 0.741)
O (0.750, 0.000, 0.956)
O (0.750, 0.500, 0.465)
O (0.886, 0.500, 0.741)
O (0.890, 0.000, 0.210)

Calculated values
ΔH_f (0 K): -2.207 eV per atom
corrected total energy (MP2020 scheme): -8.582 eV/atom
calculated density: 5084 kg/m³
polymorph energy (0 for the lowest one): 0.160 eV/atom
M_tot: 8.323 μB per formula unit
VASP energy: -7.55 eV/atom

***

(6)
A plane-wave DFT calculation with PBE with a Hubbard U was carried out for a geometry-optimized LiCo4O8 structure.

abc: 5.771 5.771 5.292
angles: 105.74 105.74 59.72
Sites, in units of the cell vectors:
Li (0.000, 0.000, 0.000)
Co (0.251, 0.749, 0.500)
Co (0.254, 0.254, 0.517)
Co (0.746, 0.746, 0.483)
Co (0.749, 0.251, 0.500)
O (0.108, 0.108, 0.704)
O (0.113, 0.636, 0.697)
O (0.364, 0.887, 0.303)
O (0.389, 0.389, 0.314)
O (0.611, 0.611, 0.686)
O (0.636, 0.113, 0.697)
O (0.887, 0.364, 0.303)
O (0.892, 0.892, 0.296)

Calculated values
ΔH_f (0 K): -1.160 eV per atom
corrected total energy (MP2020 scheme): -6.539 eV/atom
calculated density: 4257 kg/m³
polymorph energy (0 for the lowest one): 0.144 eV/atom
M_tot: 8.999 μB per formula unit
VASP energy: -5.61 eV/atom

***

Repeat the fourth record exactly.
A plane-wave DFT calculation with PBE with a Hubbard U was carried out for a geometry-optimized Ba2Mn2Sb2O structure.

abc: 4.802 4.802 20.281
angles: 90.00 90.00 120.00
Sites, in units of the cell vectors:
Ba (0.000, 0.000, 0.000)
Ba (0.000, 0.000, 0.250)
Ba (0.000, 0.000, 0.500)
Ba (0.000, 0.000, 0.750)
Mn (0.333, 0.667, 0.149)
Mn (0.333, 0.667, 0.351)
Mn (0.667, 0.333, 0.649)
Mn (0.667, 0.333, 0.851)
Sb (0.333, 0.667, 0.611)
Sb (0.333, 0.667, 0.889)
Sb (0.667, 0.333, 0.111)
Sb (0.667, 0.333, 0.389)
O (0.333, 0.667, 0.250)
O (0.667, 0.333, 0.750)

Calculated values
ΔH_f (0 K): -1.168 eV per atom
corrected total energy (MP2020 scheme): -6.221 eV/atom
calculated density: 5281 kg/m³
M_tot: 0.000 μB per formula unit
VASP energy: -5.65 eV/atom

***

Which value of VASP energy does entry 5 give? -7.55 eV/atom

***

Which of these has the lowest VASP energy? VPO4

***

Which of these has the highest calculated density? Ba2Mn2Sb2O